1.
A geometry-optimized V5CuO12 structure, computed with PBE+U.

a b c (Å): 6.767 6.773 11.843
angles (deg): 75.25 75.33 83.83
Space group P1 (No. 1)
Asymmetric unit:
V (0.000, 0.000, 0.000)
V (0.000, 0.004, 0.499)
V (0.188, 0.831, 0.243)
V (0.189, 0.829, 0.743)
V (0.411, 0.414, 0.000)
V (0.414, 0.414, 0.499)
V (0.585, 0.226, 0.256)
V (0.586, 0.225, 0.757)
V (0.716, 0.699, 0.249)
V (0.717, 0.697, 0.750)
Cu (0.888, 0.519, 0.002)
Cu (0.894, 0.526, 0.496)
O (0.136, 0.984, 0.849)
O (0.137, 0.988, 0.349)
O (0.172, 0.979, 0.098)
O (0.172, 0.980, 0.598)
O (0.182, 0.538, 0.005)
O (0.185, 0.537, 0.506)
O (0.425, 0.713, 0.235)
O (0.427, 0.277, 0.151)
O (0.429, 0.714, 0.733)
O (0.431, 0.279, 0.650)
O (0.435, 0.242, 0.402)
O (0.435, 0.242, 0.901)
O (0.611, 0.578, 0.936)
O (0.613, 0.582, 0.431)
O (0.700, 0.986, 0.766)
O (0.702, 0.989, 0.265)
O (0.757, 0.415, 0.209)
O (0.757, 0.417, 0.712)
O (0.832, 0.801, 0.068)
O (0.837, 0.803, 0.563)
O (0.877, 0.229, 0.993)
O (0.877, 0.233, 0.494)
O (0.998, 0.658, 0.787)
O (0.999, 0.658, 0.290)

Calculated values
**Total energy after the MP2020 corrections**: -0.30365 Ha/atom
**Total moment**: 0.11 μB/atom

---

2.
A geometry-optimized Li4MoO5 structure, computed with PBE+U.

a b c (Å): 5.135 5.181 7.814
angles (deg): 108.44 101.82 101.38
Space group P-1 (No. 2)
Asymmetric unit:
Li (0.000, 0.000, 0.000)
Li (0.077, 0.194, 0.702)
Li (0.194, 0.386, 0.390)
Li (0.283, 0.598, 0.098)
Li (0.500, 0.000, 0.500)
Mo (0.393, 0.779, 0.783)
O (0.074, 0.609, 0.845)
O (0.167, 0.812, 0.573)
O (0.277, 0.011, 0.249)
O (0.368, 0.176, 0.958)
O (0.449, 0.432, 0.664)

Calculated values
**Total energy after the MP2020 corrections**: -0.24196 Ha/atom
**Polymorph energy (0 for the lowest one)**: 0.0 meV per atom

---

3.
A geometry-optimized MgV2Mo2O10 structure, computed with PBE+U.

a b c (Å): 5.194 6.928 6.936
angles (deg): 90.58 91.22 91.31
Space group P-1 (No. 2)
Asymmetric unit:
Mg (0.000, 0.000, 0.000)
V (0.231, 0.246, 0.246)
Mo (0.500, 0.250, 0.750)
O (0.090, 0.780, 0.779)
O (0.274, 0.216, 0.955)
O (0.274, 0.954, 0.216)
O (0.340, 0.233, 0.511)
O (0.340, 0.511, 0.233)

Calculated values
**Total energy after the MP2020 corrections**: -0.30206 Ha/atom
**Total moment**: 0.27 μB/atom

---

4.
A geometry-optimized Na2H8WO12 structure, computed with PBE+U.

a b c (Å): 9.974 8.624 12.444
angles (deg): 90.00 92.57 90.00
Space group P2_1/c (No. 14)
Asymmetric unit:
Na (0.124, 0.202, 0.231)
Na (0.342, 0.163, 0.472)
H (0.014, 0.194, 0.941)
H (0.017, 0.058, 0.607)
H (0.091, 0.065, 0.880)
H (0.163, 0.511, 0.103)
H (0.340, 0.123, 0.147)
H (0.365, 0.123, 0.811)
H (0.464, 0.246, 0.277)
H (0.467, 0.094, 0.088)
W (0.263, 0.722, 0.879)
O (0.086, 0.178, 0.890)
O (0.093, 0.650, 0.354)
O (0.114, 0.086, 0.609)
O (0.133, 0.673, 0.471)
O (0.155, 0.523, 0.881)
O (0.199, 0.566, 0.770)
O (0.357, 0.657, 0.016)
O (0.360, 0.675, 0.261)
O (0.369, 0.580, 0.362)
O (0.370, 0.112, 0.074)
O (0.371, 0.235, 0.796)
O (0.428, 0.600, 0.919)

Calculated values
**Total energy after the MP2020 corrections**: -0.21096 Ha/atom
**Total moment**: 0.00 μB/atom

---

5.
A geometry-optimized Mn4O7F structure, computed with PBE+U.

a b c (Å): 4.962 8.924 5.477
angles (deg): 90.00 90.08 90.00
Space group Pc (No. 7)
Asymmetric unit:
Mn (0.000, 0.115, 0.000)
Mn (0.485, 0.377, 0.773)
Mn (0.498, 0.126, 0.276)
Mn (0.999, 0.377, 0.460)
O (0.161, 0.486, 0.731)
O (0.173, 0.005, 0.247)
O (0.321, 0.238, 0.020)
O (0.324, 0.257, 0.514)
O (0.664, 0.489, 0.512)
O (0.669, 0.004, 0.024)
O (0.824, 0.237, 0.238)
F (0.828, 0.250, 0.752)

Calculated values
**Total energy after the MP2020 corrections**: -0.29364 Ha/atom
**Polymorph energy (0 for the lowest one)**: 0.0 meV per atom
**Total moment**: 1.08 μB/atom

---

6.
A geometry-optimized Sr3Co2Cl2O5 structure, computed with PBE+U.

a b c (Å): 3.961 3.961 24.154
angles (deg): 90.00 90.00 90.00
Space group I4/mmm (No. 139)
Asymmetric unit:
Sr (0.000, 0.000, 0.000)
Sr (0.000, 0.000, 0.153)
Co (0.000, 0.000, 0.423)
Cl (0.000, 0.000, 0.299)
O (0.000, 0.000, 0.500)
O (0.000, 0.500, 0.086)

Calculated values
**Total energy after the MP2020 corrections**: -0.22671 Ha/atom
**Polymorph energy (0 for the lowest one)**: 0.0 meV per atom
**Total moment**: 0.35 μB/atom

---

7.
A geometry-optimized Li9Mn2Co5O16 structure, computed with PBE+U.

a b c (Å): 5.154 5.847 9.710
angles (deg): 90.00 100.44 90.00
Space group P2/m (No. 10)
Asymmetric unit:
Li (0.000, 0.000, 0.000)
Li (0.000, 0.244, 0.500)
Li (0.244, 0.000, 0.758)
Li (0.258, 0.500, 0.755)
Li (0.500, 0.244, 0.000)
Mn (0.000, 0.500, 0.000)
Mn (0.500, 0.500, 0.500)
Co (0.241, 0.242, 0.243)
Co (0.500, 0.000, 0.500)
O (0.107, 0.267, 0.877)
O (0.136, 0.000, 0.372)
O (0.161, 0.500, 0.373)
O (0.346, 0.500, 0.118)
O (0.377, 0.000, 0.142)
O (0.391, 0.259, 0.615)

Calculated values
**Total energy after the MP2020 corrections**: -0.24016 Ha/atom
**Polymorph energy (0 for the lowest one)**: 23.3 meV per atom
**Total moment**: 0.19 μB/atom

---

8.
A geometry-optimized Li2Ni3SnO8 structure, computed with PBE+U.

a b c (Å): 8.415 8.415 8.135
angles (deg): 90.00 90.00 90.00
Space group P4_32_12 (No. 96)
Asymmetric unit:
Li (0.000, 0.249, 0.373)
Ni (0.120, 0.625, 0.510)
Ni (0.130, 0.130, 0.000)
Sn (0.127, 0.873, 0.250)
O (0.096, 0.867, 0.502)
O (0.115, 0.358, 0.990)
O (0.118, 0.628, 0.277)
O (0.122, 0.145, 0.770)

Calculated values
**Total energy after the MP2020 corrections**: -0.22398 Ha/atom
**Polymorph energy (0 for the lowest one)**: 0.0 meV per atom
**Total moment**: 0.14 μB/atom

---

9.
A geometry-optimized MnZnF5 structure, computed with PBE+U.

a b c (Å): 5.165 9.657 7.849
angles (deg): 90.00 111.51 90.00
Space group P2_1/c (No. 14)
Asymmetric unit:
Mn (0.111, 0.248, 0.398)
Zn (0.475, 0.009, 0.747)
F (0.134, 0.605, 0.211)
F (0.191, 0.168, 0.667)
F (0.196, 0.632, 0.646)
F (0.358, 0.108, 0.016)
F (0.409, 0.118, 0.418)

Calculated values
**Total energy after the MP2020 corrections**: -0.20244 Ha/atom
**Polymorph energy (0 for the lowest one)**: 10.5 meV per atom
**Total moment**: 0.57 μB/atom

---

10.
A geometry-optimized TiFe2Bi2PbO9 structure, computed with PBE+U.

a b c (Å): 5.6414 5.6414 14.0420
angles (deg): 90.00 90.00 120.00
Space group P3 (No. 143)
Asymmetric unit:
Ti (0.0000, 0.0000, 0.0000)
Ti (0.3333, 0.6667, 0.1756)
Fe (0.0000, 0.0000, 0.4986)
Fe (0.3333, 0.6667, 0.6675)
Fe (0.6667, 0.3333, 0.3381)
Fe (0.6667, 0.3333, 0.8309)
Bi (0.0000, 0.0000, 0.7715)
Bi (0.3333, 0.6667, 0.4463)
Bi (0.3333, 0.6667, 0.9395)
Bi (0.6667, 0.3333, 0.6064)
Pb (0.0000, 0.0000, 0.2741)
Pb (0.6667, 0.3333, 0.1020)
O (0.0977, 0.7483, 0.5708)
O (0.1350, 0.3437, 0.0630)
O (0.3120, 0.2290, 0.8994)
O (0.3252, 0.0886, 0.4075)
O (0.4320, 0.0174, 0.7357)
O (0.4670, 0.4655, 0.2355)

Calculated values
**Total energy after the MP2020 corrections**: -0.27110 Ha/atom
**Polymorph energy (0 for the lowest one)**: 14.4 meV per atom
**Total moment**: 0.67 μB/atom

---

11.
A geometry-optimized LaZnFeSnO6 structure, computed with PBE+U.

a b c (Å): 7.992 7.992 7.992
angles (deg): 90.00 90.00 90.00
Space group F-43m (No. 216)
Asymmetric unit:
La (0.000, 0.000, 0.000)
Zn (0.250, 0.250, 0.750)
Fe (0.000, 0.000, 0.500)
Sn (0.250, 0.250, 0.250)
O (0.002, 0.250, 0.750)

Calculated values
**Total energy after the MP2020 corrections**: -0.24179 Ha/atom
**Polymorph energy (0 for the lowest one)**: 556.8 meV per atom
**Total moment**: 0.47 μB/atom

---

Number 1: calculated formation energy -2213 meV/atom. Number 2: calculated formation energy -2262 meV/atom. Number 3: calculated formation energy -2157 meV/atom. Number 4: calculated formation energy -1300 meV/atom. Number 5: calculated formation energy -1890 meV/atom. Number 6: calculated formation energy -2192 meV/atom. Number 7: calculated formation energy -1841 meV/atom. Number 8: calculated formation energy -1470 meV/atom. Number 9: calculated formation energy -2652 meV/atom. Number 10: calculated formation energy -1986 meV/atom. Number 11: calculated formation energy -1743 meV/atom.